Record 1
Density functional theory data (PBE) for a geometry-optimized Na6Ca8Ta4Si3S15O72 structure.

Calculated values
* total moment: 0.000 μB/f.u.
* ΔE_f: -2.5067 eV per atom
* E_tot: -6.7337 eV per atom

a b c (Å): 9.1231 9.1114 23.7286
angles (deg): 89.81 90.24 119.85
Sites, in units of the cell vectors:
O  0.8421  0.3647  0.9269
O  0.5548  0.8543  0.4750
O  0.9930  0.1803  0.9117
O  0.1758  0.6916  0.7650
O  0.6201  0.4858  0.9227
O  0.5127  0.8280  0.7665
O  0.2122  0.1709  0.0765
O  0.4753  0.1271  0.2479
O  0.3713  0.8749  0.8664
O  0.6571  0.5249  0.2476
O  0.5114  0.3785  0.4218
O  0.1401  0.6358  0.3640
O  0.3184  0.4887  0.7659
O  0.6228  0.1499  0.4290
O  0.7541  0.7947  0.1984
O  0.5100  0.6829  0.2597
O  0.1779  0.4882  0.2588
O  0.7928  0.0106  0.8033
O  0.5147  0.6342  0.5802
O  0.3663  0.4804  0.0768
O  0.9882  0.7808  0.8043
O  0.6702  0.5176  0.5307
O  0.1409  0.4624  0.9740
O  0.4815  0.3232  0.0275
O  0.8650  0.5274  0.1303
O  0.4958  0.8586  0.3645
O  0.1341  0.6725  0.4761
O  0.8712  0.5235  0.7503
O  0.3586  0.8788  0.5805
O  0.5053  0.6313  0.8666
O  0.3114  0.8225  0.2608
O  0.8240  0.7874  0.5784
O  0.3179  0.4496  0.4680
O  0.4770  0.3446  0.7501
O  0.6546  0.1314  0.7504
O  0.8429  0.4837  0.4270
O  0.8430  0.3253  0.5294
O  0.1173  0.6440  0.0755
O  0.4778  0.1544  0.5315
O  0.2206  0.2068  0.8037
O  0.8719  0.3465  0.2476
O  0.8390  0.5186  0.0274
O  0.2021  0.9887  0.9072
O  0.5062  0.1385  0.9211
O  0.9522  0.7872  0.0767
O  0.2094  0.0390  0.5797
O  0.2169  0.0078  0.3011
O  0.1428  0.5034  0.8637
O  0.6636  0.1360  0.1300
O  0.8228  0.0248  0.4079
O  0.5225  0.8854  0.0739
O  0.0019  0.8175  0.4097
O  0.2106  0.2120  0.4045
O  0.5506  0.6841  0.9678
O  0.6675  0.5333  0.6338
O  0.3287  0.8708  0.9683
O  0.0394  0.7979  0.7027
O  0.0379  0.2428  0.1984
O  0.6781  0.1612  0.0268
O  0.7908  0.7868  0.9064
O  0.2033  0.2484  0.7025
O  0.8689  0.3382  0.6320
O  0.1211  0.4767  0.5777
O  0.7510  0.9559  0.7021
O  0.2041  0.9588  0.1994
O  0.3715  0.4982  0.3660
O  0.9554  0.1690  0.5781
O  0.4714  0.3311  0.1305
O  0.8307  0.0440  0.0766
O  0.9974  0.2115  0.3004
O  0.7901  0.7838  0.3002
O  0.4651  0.1309  0.6343
S  0.3765  0.0489  0.5815
S  0.9513  0.3284  0.5804
S  0.6185  0.6529  0.9171
S  0.2996  0.9852  0.2527
S  0.9496  0.6254  0.0806
S  0.3017  0.3098  0.7543
S  0.3465  0.9647  0.9171
S  0.6857  0.9873  0.7545
S  0.6686  0.6197  0.5811
S  0.0082  0.7002  0.7545
S  0.3788  0.3263  0.0797
S  0.0176  0.3166  0.2518
S  0.6736  0.0507  0.0801
S  0.3460  0.3812  0.4171
S  0.6834  0.6990  0.2519
Ta  0.6734  0.3337  0.4766
Ta  0.3319  0.6751  0.3246
Ta  0.3213  0.6569  0.8186
Ta  0.6747  0.3358  0.9799
Ca  0.9980  0.0043  0.8521
Ca  0.6669  0.3335  0.1896
Ca  0.6664  0.3307  0.6843
Ca  0.9932  0.9968  0.3521
Ca  0.9964  0.9975  0.6423
Ca  0.0002  0.0012  0.1532
Ca  0.3308  0.6611  0.0198
Ca  0.3377  0.6734  0.5172
Na  0.3420  0.6750  0.6513
Na  0.3333  0.6578  0.1756
Na  0.6662  0.3272  0.8286
Na  0.6734  0.3370  0.3341
Na  0.9740  0.9716  0.4866
Na  0.0070  0.0311  0.9976
Si  0.0340  0.3694  0.9207
Si  0.0361  0.6672  0.4215
Si  0.6325  0.9666  0.4214

=====

Record 2
Density functional theory data (PBE) for a geometry-optimized Na6Ca4Ta2Si3S6O36 structure.

Calculated values
* total moment: 0.000 μB/f.u.
* ΔE_f: -2.6155 eV per atom
* E_tot: -6.7237 eV per atom

a b c (Å): 9.1752 9.1752 23.3005
angles (deg): 90.00 90.00 120.00
Sites, in units of the cell vectors:
O  0.3618  0.4755  0.0800
O  0.3743  0.8648  0.8634
O  0.4905  0.6257  0.8634
O  0.8331  0.0418  0.0748
O  0.6150  0.1413  0.4271
O  0.6818  0.5370  0.6316
O  0.8212  0.7977  0.9043
O  0.1352  0.5095  0.8634
O  0.2717  0.4341  0.4711
O  0.6767  0.5227  0.5269
O  0.1352  0.6257  0.3634
O  0.5659  0.7283  0.9711
O  0.3159  0.8202  0.2571
O  0.3618  0.8863  0.5800
O  0.4827  0.3581  0.7502
O  0.5263  0.3850  0.4271
O  0.2087  0.0418  0.5748
O  0.5042  0.6841  0.2571
O  0.2023  0.1788  0.4043
O  0.5042  0.8202  0.7571
O  0.8460  0.5227  0.0269
O  0.0030  0.7666  0.8086
O  0.5245  0.6382  0.5800
O  0.8460  0.3233  0.5269
O  0.2042  0.9675  0.2040
O  0.8552  0.3182  0.6316
O  0.5263  0.1413  0.9271
O  0.2042  0.2367  0.7040
O  0.8587  0.3850  0.9271
O  0.6767  0.1540  0.0269
O  0.3159  0.4958  0.7571
O  0.4905  0.8648  0.3634
O  0.5659  0.8375  0.4711
O  0.7633  0.9675  0.7040
O  0.1798  0.6841  0.7571
O  0.6818  0.1448  0.1316
O  0.5245  0.8863  0.0800
O  0.8212  0.0235  0.4043
O  0.9582  0.1669  0.5748
O  0.8552  0.5370  0.1316
O  0.0325  0.2367  0.2040
O  0.8755  0.3581  0.2502
O  0.1798  0.4958  0.2571
O  0.2334  0.9970  0.3086
O  0.7636  0.7666  0.3086
O  0.4630  0.3182  0.1316
O  0.8331  0.7913  0.5748
O  0.6419  0.1245  0.7502
O  0.4827  0.1245  0.2502
O  0.2087  0.1669  0.0748
O  0.1625  0.4341  0.9711
O  0.7633  0.7958  0.2040
O  0.8587  0.4737  0.4271
O  0.9765  0.7977  0.4043
O  0.4773  0.1540  0.5269
O  0.6419  0.5173  0.2502
O  0.6150  0.4737  0.9271
O  0.3743  0.5095  0.3634
O  0.7636  0.9970  0.8086
O  0.1625  0.7283  0.4711
O  0.2717  0.8375  0.9711
O  0.0325  0.7958  0.7040
O  0.2023  0.0235  0.9043
O  0.1137  0.4755  0.5800
O  0.9582  0.7913  0.0748
O  0.4773  0.3233  0.0269
O  0.4630  0.1448  0.6316
O  0.8755  0.5173  0.7502
O  0.2334  0.2364  0.8086
O  0.0030  0.2364  0.3086
O  0.1137  0.6382  0.0800
O  0.9765  0.1788  0.9043
S  0.3746  0.0523  0.5803
S  0.3078  0.9818  0.2545
S  0.0182  0.3260  0.2545
S  0.3746  0.3223  0.0803
S  0.3078  0.3260  0.7545
S  0.6777  0.6254  0.5803
S  0.6740  0.9818  0.7545
S  0.6740  0.6922  0.2545
S  0.0182  0.6922  0.7545
S  0.6777  0.0523  0.0803
S  0.9477  0.6254  0.0803
S  0.9477  0.3223  0.5803
Ca  0.6667  0.3333  0.1873
Ca  0.6667  0.3333  0.6873
Ca  0.0000  0.0000  0.8442
Ca  0.0000  0.0000  0.6474
Ca  0.0000  0.0000  0.1474
Ca  0.0000  0.0000  0.3442
Ca  0.3333  0.6667  0.5176
Ca  0.3333  0.6667  0.0176
Na  0.3333  0.6667  0.6665
Na  0.6967  0.9976  0.9199
Na  0.6967  0.6991  0.4199
Na  0.0000  0.0000  0.9951
Na  0.3333  0.6667  0.1665
Na  0.6667  0.3333  0.3241
Na  0.3009  0.9976  0.4199
Na  0.6667  0.3333  0.8241
Na  0.0000  0.0000  0.4951
Na  0.3009  0.3033  0.9199
Na  0.0024  0.6991  0.9199
Na  0.0024  0.3033  0.4199
Ta  0.3333  0.6667  0.8235
Ta  0.3333  0.6667  0.3235
Ta  0.6667  0.3333  0.4759
Ta  0.6667  0.3333  0.9759
Si  0.0348  0.6642  0.4189
Si  0.0348  0.3707  0.9189
Si  0.3358  0.9652  0.9189
Si  0.6293  0.9652  0.4189
Si  0.6293  0.6642  0.9189
Si  0.3358  0.3707  0.4189

=====

Record 3
Density functional theory data (PBE) for a geometry-optimized Na6Ca16Ta8Si3S33O144 structure.

Calculated values
* total moment: 0.000 μB/f.u.
* ΔE_f: -2.4541 eV per atom
* E_tot: -6.7457 eV per atom

a b c (Å): 18.2010 9.1087 23.6598
angles (deg): 90.03 90.00 120.02
Sites, in units of the cell vectors:
O  0.0858  0.4624  0.2561
O  0.0124  0.8363  0.6975
O  0.9245  0.5133  0.7460
O  0.2290  0.3259  0.7425
O  0.8826  0.8184  0.9141
O  0.3268  0.5348  0.6363
O  0.8061  0.1138  0.4116
O  0.7697  0.6769  0.5792
O  0.4061  0.0197  0.8006
O  0.9194  0.8221  0.5988
O  0.5912  0.9470  0.9144
O  0.0083  0.8327  0.4137
O  0.8315  0.1234  0.7417
O  0.7659  0.8237  0.7606
O  0.0876  0.2107  0.7001
O  0.6492  0.4696  0.7582
O  0.7555  0.6718  0.9669
O  0.7629  0.8525  0.0688
O  0.4344  0.3785  0.9124
O  0.4345  0.5543  0.0302
O  0.3797  0.7952  0.2016
O  0.4410  0.3488  0.6364
O  0.5156  0.8097  0.4051
O  0.5880  0.7077  0.7592
O  0.2593  0.6829  0.2647
O  0.8126  0.0912  0.1330
O  0.7676  0.8572  0.4653
O  0.7336  0.3733  0.1311
O  0.8058  0.5066  0.9168
O  0.1595  0.4571  0.0799
O  0.6599  0.8639  0.5790
O  0.3906  0.9735  0.4038
O  0.0772  0.6569  0.3583
O  0.4334  0.3423  0.2497
O  0.4199  0.8154  0.6021
O  0.4582  0.5402  0.1312
O  0.3095  0.5014  0.9111
O  0.3981  0.9661  0.6997
O  0.7382  0.1359  0.2487
O  0.6673  0.8436  0.9679
O  0.5777  0.6598  0.0676
O  0.2707  0.6755  0.5788
O  0.4145  0.0201  0.0855
O  0.2507  0.8509  0.3610
O  0.8268  0.5394  0.6363
O  0.5809  0.5027  0.8588
O  0.9341  0.3241  0.2379
O  0.7504  0.6528  0.8627
O  0.9107  0.0045  0.1000
O  0.3309  0.5220  0.2484
O  0.0709  0.6764  0.4715
O  0.7466  0.1091  0.9181
O  0.8584  0.1370  0.0343
O  0.8950  0.8262  0.1994
O  0.9890  0.1563  0.6007
O  0.5924  0.2207  0.4040
O  0.1479  0.8298  0.2548
O  0.6759  0.8520  0.8632
O  0.4367  0.5445  0.7421
O  0.8921  0.9771  0.4076
O  0.6046  0.1950  0.8012
O  0.8361  0.5409  0.2397
O  0.8943  0.9641  0.7006
O  0.3386  0.1311  0.7412
O  0.5972  0.1949  0.0848
O  0.6604  0.4641  0.4644
O  0.9389  0.5299  0.1359
O  0.6095  0.0183  0.3029
O  0.0948  0.9691  0.9061
O  0.1750  0.8488  0.8611
O  0.6588  0.8350  0.2663
O  0.9020  0.7859  0.3002
O  0.1623  0.8574  0.9639
O  0.5758  0.6511  0.3626
O  0.2080  0.2774  0.0356
O  0.2310  0.1246  0.6365
O  0.3098  0.1191  0.4109
O  0.5249  0.2075  0.9201
O  0.0910  0.6978  0.7633
O  0.2484  0.3732  0.4106
O  0.5846  0.4853  0.2660
O  0.9279  0.4880  0.4093
O  0.7318  0.1154  0.6367
O  0.9884  0.7952  0.8075
O  0.3468  0.1432  0.0321
O  0.9280  0.5809  0.0361
O  0.3999  0.7789  0.3027
O  0.5697  0.6741  0.4653
O  0.4880  0.1612  0.6019
O  0.1050  0.1944  0.8018
O  0.2280  0.1335  0.2382
O  0.2548  0.6568  0.8611
O  0.5232  0.2481  0.2023
O  0.5188  0.8276  0.7003
O  0.1649  0.8689  0.5816
O  0.2128  0.1429  0.5351
O  0.5671  0.4587  0.5792
O  0.0662  0.6736  0.0796
O  0.0839  0.9675  0.1988
O  0.0695  0.4686  0.9645
O  0.0897  0.1595  0.1031
O  0.1746  0.4944  0.3616
O  0.8603  0.5818  0.5353
O  0.2697  0.8607  0.4647
O  0.9294  0.2730  0.5351
O  0.0937  0.2192  0.4070
O  0.4938  0.7932  0.8017
O  0.7094  0.1429  0.5361
O  0.3927  0.8094  0.9081
O  0.9023  0.0215  0.8019
O  0.7541  0.8489  0.3625
O  0.6770  0.4981  0.0676
O  0.1064  0.0193  0.2992
O  0.5852  0.2105  0.7001
O  0.6013  0.9574  0.2018
O  0.7654  0.7016  0.2579
O  0.7266  0.3150  0.0299
O  0.4278  0.2785  0.5359
O  0.9895  0.1921  0.2998
O  0.5036  0.8131  0.0850
O  0.1495  0.4682  0.7592
O  0.7275  0.3242  0.7412
O  0.2613  0.8707  0.0786
O  0.2483  0.1158  0.9093
O  0.1662  0.4655  0.4656
O  0.6756  0.4999  0.3617
O  0.0683  0.4544  0.5794
O  0.7467  0.3756  0.4115
O  0.5831  0.4984  0.9708
O  0.3311  0.1232  0.1345
O  0.2328  0.3488  0.1359
O  0.9406  0.3815  0.9104
O  0.0153  0.2229  0.9051
O  0.5909  0.0228  0.6034
O  0.2680  0.6761  0.9647
O  0.4406  0.5014  0.4113
O  0.9412  0.3425  0.6353
O  0.9878  0.8144  0.1032
O  0.2691  0.8284  0.7578
O  0.0914  0.0267  0.5975
O  0.0751  0.4992  0.8611
O  0.3612  0.5769  0.5359
O  0.0146  0.1995  0.1988
O  0.4925  0.2028  0.3033
S  0.0045  0.2956  0.2500
S  0.6505  0.9933  0.2540
S  0.4803  0.3234  0.5867
S  0.8019  0.6627  0.9154
S  0.3452  0.6964  0.2537
S  0.6807  0.0386  0.5866
S  0.8507  0.7115  0.2504
S  0.8511  0.9889  0.7516
S  0.1441  0.9906  0.2496
S  0.0238  0.3879  0.9130
S  0.3374  0.0393  0.0827
S  0.8347  0.0260  0.0837
S  0.1690  0.9518  0.9130
S  0.8389  0.6424  0.5865
S  0.3377  0.6367  0.5864
S  0.5045  0.3093  0.2544
S  0.1700  0.3840  0.4140
S  0.3077  0.9547  0.4132
S  0.8076  0.9548  0.4146
S  0.1800  0.3235  0.0868
S  0.9800  0.6384  0.0874
S  0.5231  0.6607  0.4139
S  0.4871  0.6388  0.0794
S  0.5057  0.7171  0.7515
S  0.6699  0.9424  0.9161
S  0.1429  0.2954  0.7520
S  0.6424  0.2938  0.7506
S  0.3070  0.6606  0.9129
S  0.3533  0.9895  0.7512
S  0.1803  0.0400  0.5867
S  0.6683  0.3827  0.4137
S  0.9818  0.3158  0.5864
S  0.6841  0.3359  0.0793
Ca  0.0001  0.9949  0.3540
Ca  0.3320  0.3322  0.6858
Ca  0.5017  0.0083  0.8590
Ca  0.8414  0.3414  0.9811
Ca  0.3401  0.3402  0.1821
Ca  0.3322  0.3261  0.9776
Ca  0.9970  0.9928  0.8571
Ca  0.3322  0.3300  0.4807
Ca  0.1616  0.6665  0.5221
Ca  0.8379  0.3386  0.6843
Ca  0.1682  0.6698  0.0237
Ca  0.6668  0.6664  0.5233
Ca  0.4988  0.9969  0.3534
Ca  0.4967  0.9997  0.1537
Ca  0.8440  0.3476  0.4788
Ca  0.8275  0.3248  0.1831
Na  0.3349  0.3407  0.3329
Na  0.8495  0.3604  0.8259
Na  0.3366  0.3353  0.8419
Na  0.0020  0.9803  0.4903
Na  0.4915  0.0128  0.0003
Na  0.8387  0.3424  0.3401
Si  0.5213  0.3781  0.9158
Si  0.9982  0.7037  0.7546
Si  0.0156  0.6644  0.4182
Ta  0.1623  0.6638  0.3162
Ta  0.4986  0.9994  0.6474
Ta  0.1632  0.6671  0.8106
Ta  0.6678  0.6677  0.3148
Ta  0.6626  0.6577  0.8108
Ta  0.6621  0.6545  0.0194
Ta  0.0011  0.9912  0.6518
Ta  0.0008  0.9995  0.1501